Density functional theory data (PBE+U) for a geometry-optimized Mn5As4O20 structure.

Cell lengths 9.3580, 9.5538, 9.9624 Å; angles 102.50, 118.01, 90.00 degrees
Closest atoms and distances in Å follow each position.
Positions (direct):
Mn: 0.1044 0.2500 0.0000  6 O 1.91-1.98
Mn: 0.8956 0.7500 0.0000  6 O 1.91-1.98
Mn: 0.2612 0.6952 0.6375  2 O 1.64-1.78
Mn: 0.6236 0.8048 0.3625  2 O 1.64-1.78
Mn: 0.7388 0.3048 0.3625  2 O 1.64-1.78
Mn: 0.3764 0.1952 0.6375  2 O 1.64-1.78
Mn: 0.8503 0.6139 0.6460  4 O 1.86-2.06
Mn: 0.2043 0.8861 0.3540  4 O 1.86-2.06
Mn: 0.1497 0.3861 0.3540  4 O 1.86-2.06
Mn: 0.7957 0.1139 0.6460  4 O 1.86-2.06
As: 0.1277 0.8971 0.8697  4 O 1.65-1.81
As: 0.2581 0.6029 0.1303  4 O 1.65-1.81
As: 0.8723 0.1029 0.1303  4 O 1.65-1.81
As: 0.7419 0.3971 0.8697  4 O 1.65-1.81
As: 0.3916 0.1470 0.3000  4 O 1.72-1.74
As: 0.0916 0.3530 0.7000  4 O 1.72-1.74
As: 0.6084 0.8530 0.7000  4 O 1.72-1.74
As: 0.9084 0.6470 0.3000  4 O 1.72-1.74
O: 0.9670 0.7757 0.8496  1 As 1.81, 1 Mn 1.96
O: 0.1174 0.7243 0.1504  1 As 1.81, 1 Mn 1.96
O: 0.0330 0.2243 0.1504  1 As 1.81, 1 Mn 1.96
O: 0.8826 0.2757 0.8496  1 As 1.81, 1 Mn 1.96
O: 0.1137 0.8208 0.6901  1 As 1.72
O: 0.4237 0.6792 0.3099  1 As 1.72
O: 0.8863 0.1792 0.3099  1 As 1.72
O: 0.5763 0.3208 0.6901  1 As 1.72
O: 0.0243 0.0543 0.8583  1 As 1.78, 1 Mn 1.98
O: 0.1659 0.4457 0.1417  1 As 1.78, 1 Mn 1.98
O: 0.9757 0.9457 0.1417  1 As 1.78, 1 Mn 1.98
O: 0.8341 0.5543 0.8583  1 As 1.78, 1 Mn 1.98
O: 0.3709 0.9767 0.3264  1 As 1.73
O: 0.0445 0.5233 0.6736  1 As 1.73
O: 0.6291 0.0233 0.6736  1 As 1.73
O: 0.9555 0.4767 0.3264  1 As 1.73
O: 0.6011 0.1698 0.3827  1 As 1.72, 1 Mn 1.93
O: 0.2184 0.3302 0.6173  1 As 1.72, 1 Mn 1.93
O: 0.3989 0.8302 0.6173  1 As 1.72, 1 Mn 1.93
O: 0.7816 0.6698 0.3827  1 As 1.72, 1 Mn 1.93
O: 0.3279 0.2582 0.4195  1 As 1.74
O: 0.9084 0.2418 0.5805  1 As 1.74
O: 0.6721 0.7418 0.5805  1 As 1.74
O: 0.0916 0.7582 0.4195  1 As 1.74
O: 0.3154 0.2009 0.1272  1 As 1.72, 1 Mn 1.91
O: 0.1882 0.2991 0.8728  1 As 1.72, 1 Mn 1.91
O: 0.6846 0.7991 0.8728  1 As 1.72, 1 Mn 1.91
O: 0.8118 0.7009 0.1272  1 As 1.72, 1 Mn 1.91
O: 0.3046 0.9170 0.0309  1 As 1.65
O: 0.2737 0.5830 0.9691  1 As 1.65
O: 0.6954 0.0830 0.9691  1 As 1.65
O: 0.7263 0.4170 0.0309  1 As 1.65
O: 0.7774 0.9516 0.4936  2 Mn 1.78-1.86
O: 0.2838 0.5484 0.5064  2 Mn 1.78-1.86
O: 0.2226 0.0484 0.5064  2 Mn 1.78-1.86
O: 0.7162 0.4516 0.4936  2 Mn 1.78-1.86
O: 0.6213 0.3189 0.1824  1 Mn 1.64
O: 0.4389 0.1811 0.8176  1 Mn 1.64
O: 0.3787 0.6811 0.8176  1 Mn 1.64
O: 0.5611 0.8189 0.1824  1 Mn 1.64

Output
density	3.9	g/cm³
raw total energy	-6.3740	eV/atom
formation energy	-1.501	eV/atom



Density functional theory data (PBE+U) for a geometry-optimized Li4Mn3V2Cu3O16 structure.

Cell lengths 5.8768, 5.8768, 9.6074 Å; angles 88.52, 88.52, 59.35 degrees
Closest atoms and distances in Å follow each position.
Positions (direct):
Li: 0.6718 0.6718 0.9017  4 O 1.96-2.04
Li: 0.9977 0.9977 0.9947  4 O 1.81-1.98
Li: 0.0007 0.0007 0.4870  4 O 1.83-2.00
Li: 0.3243 0.3243 0.4054  4 O 1.92-2.03
Mn: 0.8245 0.8245 0.2188  6 O 1.91-2.08
Mn: 0.6643 0.1678 0.7171  6 O 1.88-2.06
Mn: 0.1678 0.6643 0.7171  6 O 1.88-2.06
V: 0.6390 0.6390 0.4806  3 O 1.71-1.83
V: 0.3338 0.3338 0.9932  3 O 1.71-1.90
Cu: 0.8270 0.3349 0.2074  3 O 1.90-2.10
Cu: 0.3349 0.8270 0.2074  3 O 1.90-2.10
Cu: 0.1711 0.1711 0.7129  4 O 1.92-2.14
O: 0.8212 0.3431 0.5896  1 V 1.83, 1 Li 2.00
O: 0.5103 0.5103 0.3709  1 V 1.71
O: 0.6675 0.6675 0.1138  2 Cu 1.90, 1 Mn 1.92, 1 Li 2.04
O: 0.9962 0.9962 0.2963  1 Li 1.83, 2 Cu 1.90, 1 Mn 1.93
O: 0.0025 0.0025 0.8060  1 Li 1.81, 1 Cu 1.92, 2 Mn 1.92
O: 0.3431 0.8212 0.5896  1 V 1.83, 1 Li 2.00
O: 0.9565 0.5308 0.3466  1 Mn 1.91, 1 Li 1.95, 1 V 2.06
O: 0.5308 0.9565 0.3466  1 Mn 1.91, 1 Li 1.95, 1 V 2.06
O: 0.1781 0.1781 0.0638  1 V 1.71
O: 0.8435 0.8435 0.6088  2 Mn 1.96, 1 Li 1.96
O: 0.5070 0.0459 0.8491  1 Mn 1.88, 1 Li 1.96, 1 V 2.03
O: 0.0459 0.5070 0.8491  1 Mn 1.88, 1 Li 1.96, 1 V 2.03
O: 0.3378 0.3378 0.6157  1 Cu 1.92, 2 Mn 1.93, 1 Li 2.03
O: 0.6548 0.1621 0.0929  1 V 1.90, 1 Li 1.96, 1 Mn 2.08, 1 Cu 2.10
O: 0.4859 0.4859 0.8332  2 Mn 1.97, 1 Li 2.03, 1 V 2.15
O: 0.1621 0.6548 0.0929  1 V 1.90, 1 Li 1.96, 1 Mn 2.08, 1 Cu 2.10

Output
density	4.3	g/cm³
raw total energy	-6.3354	eV/atom
formation energy	-1.858	eV/atom



Density functional theory data (PBE+U) for a geometry-optimized Co3O2F4 structure.

Cell lengths 4.6675, 5.6179, 7.6323 Å; angles 86.78, 88.41, 88.82 degrees
Closest atoms and distances in Å follow each position.
Positions (direct):
Co: 0.4863 0.5084 0.0055  2 O 1.89-1.98, 4 F 2.02-2.05
Co: 0.4932 0.1649 0.3358  4 F 2.03-2.07, 2 O 2.10-2.17
Co: 0.5383 0.8241 0.6660  3 O 1.83-1.85, 3 F 1.97-2.01
Co: 0.9707 0.3308 0.6747  2 O 1.95-2.03, 3 F 2.00-2.12
Co: 0.0062 0.6714 0.3382  2 O 1.88-1.94, 4 F 2.06-2.08
Co: 0.9739 0.9966 0.9778  1 O 1.87, 4 F 1.98-2.02
O: 0.7913 0.0196 0.7624  3 Co 1.83-2.03
O: 0.6845 0.5475 0.7734  3 Co 1.84-1.98
O: 0.7131 0.8499 0.4458  2 Co 1.85-1.88
O: 0.3022 0.4793 0.2286  3 Co 1.89-2.10
F: 0.8181 0.3593 0.4323  3 Co 2.00-2.06
F: 0.7991 0.7113 0.1012  3 Co 1.99-2.07
F: 0.6995 0.2119 0.0975  3 Co 1.98-2.04
F: 0.3112 0.1136 0.5787  3 Co 2.01-2.12
F: 0.3114 0.8111 0.8878  3 Co 1.97-2.04
F: 0.1891 0.9707 0.2176  3 Co 2.06-2.11
F: 0.1853 0.2975 0.9045  3 Co 2.02-2.05
F: 0.2267 0.6321 0.5721  3 Co 2.00-2.19

Output
density	4.7	g/cm³
raw total energy	-5.2046	eV/atom
formation energy	-1.789	eV/atom



Density functional theory data (PBE+U) for a geometry-optimized Li4Mn3Nb3Fe2O16 structure.

Cell lengths 6.2091, 6.0344, 9.8458 Å; angles 89.93, 87.99, 119.08 degrees
Closest atoms and distances in Å follow each position.
Positions (direct):
Li: 0.3416 0.6710 0.9003  4 O 2.04-2.15
Li: 0.0031 0.0014 0.0023  4 O 1.82-2.03
Li: 0.0279 0.0138 0.4880  3 O 1.83-1.98
Li: 0.6756 0.3380 0.3876  4 O 2.01-2.10
Mn: 0.1732 0.8321 0.2130  4 O 1.97-2.02
Mn: 0.1726 0.3410 0.2129  4 O 1.97-2.02
Mn: 0.3401 0.1701 0.7145  6 O 2.13-2.20
Nb: 0.6601 0.8299 0.2188  6 O 2.00-2.12
Nb: 0.8307 0.6632 0.7155  6 O 1.98-2.05
Nb: 0.8308 0.1677 0.7154  6 O 1.98-2.04
Fe: 0.3065 0.6536 0.4796  5 O 2.08-2.10
Fe: 0.6452 0.3225 0.0036  5 O 2.01-2.23
O: 0.1484 0.8251 0.5985  1 Li 1.98, 1 Nb 2.03, 1 Fe 2.08, 1 Mn 2.18
O: 0.0457 0.5230 0.3275  2 Mn 1.97, 1 Li 2.07, 1 Fe 2.10
O: 0.3316 0.6659 0.1098  2 Mn 1.97, 1 Li 2.06, 1 Nb 2.12
O: 0.0027 0.0014 0.3032  1 Li 1.83, 2 Mn 1.98
O: 0.9863 0.9930 0.8183  1 Li 1.82, 2 Nb 2.03
O: 0.1485 0.3228 0.5985  1 Li 1.98, 1 Nb 2.03, 1 Fe 2.08, 1 Mn 2.17
O: 0.4982 0.9665 0.3471  1 Nb 2.00, 1 Li 2.01, 1 Fe 2.09
O: 0.4972 0.5311 0.3469  1 Nb 2.00, 1 Li 2.01, 1 Fe 2.10
O: 0.3120 0.1561 0.1009  1 Li 1.97, 1 Fe 2.01, 2 Mn 2.02
O: 0.6931 0.8466 0.6048  2 Nb 2.03, 1 Li 2.11
O: 0.5335 0.4919 0.8382  1 Nb 1.98, 1 Li 2.04, 1 Mn 2.13
O: 0.5332 0.0415 0.8380  1 Nb 1.98, 1 Li 2.04, 1 Mn 2.13
O: 0.6967 0.3484 0.6002  2 Nb 2.03, 1 Li 2.10, 1 Mn 2.20
O: 0.7971 0.6580 0.0964  1 Fe 2.01, 1 Nb 2.01, 1 Li 2.03
O: 0.9698 0.4846 0.8314  2 Nb 2.04-2.05, 1 Li 2.15
O: 0.7984 0.1398 0.0966  1 Fe 2.01, 1 Nb 2.01, 1 Li 2.03

Output
density	4.3	g/cm³
raw total energy	-7.3946	eV/atom
formation energy	-2.358	eV/atom



Density functional theory data (PBE+U) for a geometry-optimized Ba2VP2O11 structure.

Cell lengths 8.9257, 5.1719, 10.5985 Å; angles 88.03, 90.00, 90.00 degrees
Closest atoms and distances in Å follow each position.
Positions (direct):
Ba: 0.0108 0.0254 0.9516  8 O 2.71-3.01
Ba: 0.5108 0.9746 0.0484  8 O 2.71-3.01
Ba: 0.6514 0.9993 0.6202  9 O 2.80-3.13
Ba: 0.1514 0.0007 0.3798  9 O 2.80-3.13
V: 0.9954 0.4447 0.6717  2 O 1.65-1.68
V: 0.4954 0.5553 0.3283  2 O 1.65-1.68
P: 0.7153 0.5001 0.8557  4 O 1.53-1.59
P: 0.2153 0.4999 0.1443  4 O 1.53-1.59
P: 0.3513 0.4572 0.5892  4 O 1.52-1.59
P: 0.8513 0.5428 0.4108  4 O 1.52-1.59
O: 0.0718 0.5544 0.8014  1 V 1.65
O: 0.5718 0.4456 0.1986  1 V 1.65
O: 0.9572 0.1308 0.7002  1 V 1.68
O: 0.4572 0.8692 0.2998  1 V 1.68
O: 0.7839 0.5438 0.7179  1 P 1.59
O: 0.2839 0.4562 0.2821  1 P 1.59
O: 0.1831 0.3803 0.5724  1 P 1.56
O: 0.6831 0.6197 0.4276  1 P 1.56
O: 0.9391 0.6727 0.5227  1 P 1.59
O: 0.4391 0.3273 0.4773  1 P 1.59
O: 0.5652 0.6486 0.8534  1 P 1.54
O: 0.0652 0.3514 0.1466  1 P 1.54
O: 0.8133 0.6278 0.9554  1 P 1.54
O: 0.3133 0.3722 0.0446  1 P 1.54
O: 0.7040 0.2066 0.8806  1 P 1.53
O: 0.2040 0.7934 0.1194  1 P 1.53
O: 0.4203 0.3291 0.7115  1 P 1.56
O: 0.9203 0.6709 0.2885  1 P 1.56
O: 0.3730 0.7485 0.5776  1 P 1.52
O: 0.8730 0.2515 0.4224  1 P 1.52
O: 0.3077 0.0639 0.8366  1 O 2.13
O: 0.8077 0.9361 0.1634  1 O 2.13

Output
density	3.8	g/cm³
raw total energy	-6.8434	eV/atom
formation energy	-2.536	eV/atom



What is the formula in the fourth record?
Li4Mn3Nb3Fe2O16



density of number 4 (Li4Mn3Nb3Fe2O16)?
4.3 g/cm³



The lowest raw total energy belongs to which entry?
Li4Mn3Nb3Fe2O16